# 1
This record from the Materials Project database describes a geometry-optimized Dy2Mg structure. The functional is PBE-GGA.

Properties
V	172	Å³/cell
electronic total energy	-3.651	eV per atom
ΔH_f (0 K)	-0.047	eV per atom
space group	Cmcm (63)

Geometry as POSCAR:
```
Dy2Mg
1.0
1.839 -8.546 0.000
1.839 8.546 0.000
0.000 0.000 5.481
Dy Mg
4 2
direct
0.094 0.906 0.750 Dy
0.226 0.774 0.250 Dy
0.774 0.226 0.750 Dy
0.906 0.094 0.250 Dy
0.435 0.565 0.750 Mg
0.565 0.435 0.250 Mg
```

---

# 2
This record from the Materials Project database describes a geometry-optimized Ti3Au structure. The functional is PBE-GGA.

Properties
V	68	Å³/cell
electronic total energy	-6.970	eV per atom
ΔH_f (0 K)	-0.230	eV per atom
space group	Pm-3m (221)

Geometry as POSCAR:
```
Ti3Au
1.0
4.076 0.000 0.000
0.000 4.076 0.000
0.000 0.000 4.076
Ti Au
3 1
direct
0.000 0.000 0.500 Ti
0.000 0.500 0.000 Ti
0.500 0.000 0.000 Ti
0.500 0.500 0.500 Au
```

---

# 3
This record from the Materials Project database describes a geometry-optimized Ba2SiO4 structure. The functional is PBE-GGA.

Properties
V	466	Å³/cell
electronic total energy	-7.120	eV per atom
ΔH_f (0 K)	-3.362	eV per atom
space group	Pnma (62)

Geometry as POSCAR:
```
Ba2SiO4
1.0
7.602 0.000 0.000
0.000 5.884 0.000
0.000 0.000 10.413
Ba Si O
8 4 16
direct
0.007 0.250 0.194 Ba
0.161 0.750 0.418 Ba
0.339 0.250 0.918 Ba
0.493 0.750 0.694 Ba
0.507 0.250 0.306 Ba
0.661 0.750 0.082 Ba
0.839 0.250 0.582 Ba
0.993 0.750 0.806 Ba
0.227 0.750 0.079 Si
0.273 0.250 0.579 Si
0.727 0.750 0.421 Si
0.773 0.250 0.921 Si
0.011 0.750 0.082 O
0.193 0.250 0.430 O
0.195 0.019 0.650 O
0.195 0.481 0.650 O
0.305 0.519 0.150 O
0.305 0.981 0.150 O
0.307 0.750 0.930 O
0.489 0.250 0.582 O
0.511 0.750 0.418 O
0.693 0.250 0.070 O
0.695 0.019 0.850 O
0.695 0.481 0.850 O
0.805 0.519 0.350 O
0.805 0.981 0.350 O
0.807 0.750 0.570 O
0.989 0.250 0.918 O
```

---

# 4
This record from the Materials Project database describes a geometry-optimized Mg2Si structure. The functional is PBE-GGA.

Properties
V	244	Å³/cell
electronic total energy	-2.807	eV per atom
ΔH_f (0 K)	0.092	eV per atom
space group	P1 (1)

Geometry as POSCAR:
```
Mg2Si
1.0
5.806 0.000 0.000
2.124 6.145 0.000
2.389 0.455 6.837
Mg Si
8 4
direct
0.000 0.000 0.000 Mg
0.003 0.340 0.628 Mg
0.258 0.625 0.288 Mg
0.338 0.086 0.245 Mg
0.397 0.682 0.661 Mg
0.706 0.268 0.370 Mg
0.864 0.882 0.634 Mg
0.994 0.512 0.002 Mg
0.429 0.224 0.787 Si
0.514 0.795 0.951 Si
0.592 0.378 0.986 Si
0.752 0.741 0.327 Si
```

---

# 5
This record from the Materials Project database describes a geometry-optimized Na2Nb6Al2Si7S5O48 structure. The functional is PBE-GGA.

Properties
V	3059	Å³/cell
electronic total energy	-7.498	eV per atom
ΔH_f (0 K)	-2.727	eV per atom
space group	P1 (1)

Geometry as POSCAR:
```
Na2Nb6Al2Si7S5O48
1.0
8.821 0.000 0.000
0.001 15.246 0.000
0.015 0.028 22.743
Na Nb Al Si S O
6 18 6 21 15 144
direct
0.000 0.000 0.000 Na
0.000 0.328 0.841 Na
0.501 0.499 0.503 Na
0.506 0.829 0.346 Na
0.509 0.835 0.838 Na
0.996 0.334 0.344 Na
0.002 0.667 0.530 Nb
0.002 0.673 0.027 Nb
0.003 0.676 0.812 Nb
0.011 0.999 0.367 Nb
0.014 0.328 0.198 Nb
0.016 0.335 0.481 Nb
0.019 0.331 0.695 Nb
0.493 0.826 0.199 Nb
0.494 0.827 0.696 Nb
0.498 0.499 0.864 Nb
0.499 0.830 0.979 Nb
0.503 0.177 0.314 Nb
0.506 0.176 0.528 Nb
0.507 0.172 0.027 Nb
0.507 0.496 0.148 Nb
0.523 0.170 0.816 Nb
0.984 0.671 0.318 Nb
0.998 0.997 0.647 Nb
0.005 0.331 0.987 Al
0.013 0.998 0.161 Al
0.473 0.495 0.655 Al
0.502 0.830 0.487 Al
0.530 0.498 0.363 Al
0.976 0.998 0.861 Al
0.137 0.820 0.919 Si
0.138 0.859 0.255 Si
0.147 0.135 0.255 Si
0.147 0.188 0.588 Si
0.157 0.478 0.591 Si
0.225 0.834 0.583 Si
0.280 0.333 0.084 Si
0.359 0.688 0.089 Si
0.362 0.636 0.754 Si
0.365 0.358 0.755 Si
0.368 0.320 0.420 Si
0.639 0.634 0.260 Si
0.649 0.363 0.258 Si
0.653 0.026 0.923 Si
0.667 0.312 0.924 Si
0.720 0.663 0.922 Si
0.789 0.166 0.423 Si
0.841 0.811 0.427 Si
0.853 0.525 0.423 Si
0.856 0.864 0.757 Si
0.873 0.138 0.759 Si
0.140 0.519 0.924 S
0.210 0.168 0.923 S
0.221 0.501 0.258 S
0.286 0.001 0.758 S
0.296 0.667 0.423 S
0.352 0.977 0.090 S
0.367 0.020 0.424 S
0.641 0.974 0.587 S
0.642 0.687 0.589 S
0.715 0.339 0.591 S
0.722 0.000 0.254 S
0.785 0.500 0.754 S
0.793 0.839 0.091 S
0.864 0.474 0.087 S
0.865 0.186 0.089 S
0.066 0.097 0.314 O
0.067 0.235 0.532 O
0.067 0.900 0.196 O
0.069 0.766 0.978 O
0.072 0.431 0.647 O
0.072 0.916 0.913 O
0.074 0.093 0.600 O
0.074 0.558 0.871 O
0.075 0.237 0.248 O
0.075 0.431 0.932 O
0.076 0.572 0.579 O
0.083 0.759 0.268 O
0.109 0.084 0.195 O
0.114 0.247 0.932 O
0.115 0.421 0.249 O
0.116 0.576 0.977 O
0.116 0.749 0.577 O
0.116 0.920 0.313 O
0.117 0.414 0.534 O
0.117 0.918 0.599 O
0.118 0.088 0.919 O
0.118 0.750 0.865 O
0.120 0.250 0.647 O
0.122 0.578 0.263 O
0.169 0.346 0.030 O
0.176 0.320 0.145 O
0.177 0.349 0.751 O
0.177 0.677 0.079 O
0.180 0.648 0.767 O
0.183 0.320 0.428 O
0.185 0.986 0.097 O
0.196 0.982 0.810 O
0.197 0.012 0.419 O
0.198 0.012 0.703 O
0.199 0.654 0.477 O
0.201 0.684 0.370 O
0.305 0.184 0.871 O
0.309 0.512 0.919 O
0.310 0.155 0.977 O
0.310 0.482 0.310 O
0.310 0.512 0.203 O
0.323 0.822 0.931 O
0.328 0.147 0.266 O
0.329 0.851 0.248 O
0.330 0.176 0.578 O
0.330 0.821 0.644 O
0.339 0.486 0.596 O
0.339 0.847 0.530 O
0.381 0.922 0.038 O
0.385 0.078 0.765 O
0.389 0.246 0.078 O
0.389 0.588 0.417 O
0.389 0.752 0.146 O
0.390 0.075 0.477 O
0.391 0.251 0.365 O
0.391 0.416 0.099 O
0.391 0.419 0.813 O
0.391 0.921 0.749 O
0.393 0.747 0.431 O
0.399 0.583 0.696 O
0.422 0.065 0.082 O
0.424 0.937 0.143 O
0.426 0.259 0.769 O
0.431 0.059 0.370 O
0.431 0.738 0.749 O
0.431 0.931 0.431 O
0.433 0.594 0.100 O
0.434 0.416 0.412 O
0.437 0.266 0.478 O
0.437 0.739 0.034 O
0.438 0.598 0.815 O
0.442 0.400 0.698 O
0.558 0.595 0.316 O
0.565 0.067 0.866 O
0.573 0.402 0.198 O
0.574 0.063 0.580 O
0.574 0.929 0.935 O
0.575 0.730 0.537 O
0.576 0.739 0.248 O
0.577 0.266 0.981 O
0.578 0.263 0.263 O
0.578 0.599 0.597 O
0.579 0.935 0.641 O
0.581 0.405 0.912 O
0.608 0.581 0.199 O
0.609 0.580 0.914 O
0.610 0.085 0.981 O
0.615 0.752 0.931 O
0.616 0.257 0.583 O
0.616 0.416 0.598 O
0.616 0.744 0.643 O
0.618 0.919 0.535 O
0.619 0.419 0.315 O
0.621 0.076 0.262 O
0.622 0.920 0.246 O
0.627 0.249 0.868 O
0.661 0.822 0.436 O
0.672 0.518 0.418 O
0.674 0.848 0.746 O
0.678 0.177 0.366 O
0.682 0.150 0.481 O
0.685 0.150 0.765 O
0.693 0.485 0.809 O
0.694 0.514 0.702 O
0.696 0.179 0.083 O
0.697 0.485 0.094 O
0.698 0.823 0.143 O
0.701 0.851 0.037 O
0.805 0.349 0.537 O
0.807 0.319 0.643 O
0.809 0.985 0.594 O
0.810 0.682 0.584 O
0.811 0.982 0.308 O
0.815 0.013 0.201 O
0.823 0.651 0.265 O
0.823 0.651 0.982 O
0.828 0.678 0.866 O
0.831 0.348 0.245 O
0.833 0.017 0.918 O
0.845 0.322 0.937 O
0.879 0.750 0.367 O
0.882 0.420 0.750 O
0.886 0.576 0.764 O
0.887 0.917 0.816 O
0.888 0.242 0.143 O
0.889 0.419 0.035 O
0.889 0.758 0.083 O
0.892 0.253 0.431 O
0.893 0.917 0.097 O
0.894 0.080 0.413 O
0.895 0.586 0.480 O
0.898 0.081 0.699 O
0.924 0.904 0.411 O
0.928 0.435 0.141 O
0.929 0.097 0.097 O
0.929 0.241 0.749 O
0.929 0.763 0.764 O
0.930 0.228 0.037 O
0.930 0.427 0.431 O
0.930 0.765 0.481 O
0.932 0.563 0.080 O
0.934 0.901 0.698 O
0.940 0.568 0.365 O
0.947 0.095 0.816 O
```

---

# 6
This record from the Materials Project database describes a geometry-optimized CsHSO4 structure. The functional is PBE-GGA.

Properties
V	494	Å³/cell
electronic total energy	-5.595	eV per atom
ΔH_f (0 K)	-1.957	eV per atom
space group	P2_1/c (14)

Geometry as POSCAR:
```
CsHSO4
1.0
7.800 0.000 0.000
0.000 8.211 0.000
-2.260 0.000 7.720
Cs H S O
4 4 4 16
direct
0.229 0.126 0.185 Cs
0.229 0.374 0.685 Cs
0.771 0.626 0.315 Cs
0.771 0.874 0.815 Cs
0.334 0.653 0.991 H
0.334 0.847 0.491 H
0.666 0.153 0.509 H
0.666 0.347 0.009 H
0.233 0.635 0.219 S
0.233 0.865 0.719 S
0.767 0.135 0.281 S
0.767 0.365 0.781 S
0.074 0.724 0.122 O
0.074 0.776 0.622 O
0.197 0.011 0.807 O
0.197 0.489 0.307 O
0.331 0.567 0.083 O
0.331 0.933 0.583 O
0.366 0.744 0.335 O
0.366 0.756 0.835 O
0.634 0.244 0.165 O
0.634 0.256 0.665 O
0.669 0.067 0.417 O
0.669 0.433 0.917 O
0.803 0.511 0.693 O
0.803 0.989 0.193 O
0.926 0.224 0.378 O
0.926 0.276 0.878 O
```

---

# 7
This record from the Materials Project database describes a geometry-optimized Sm2CdIr structure. The functional is PBE-GGA.

Properties
V	96	Å³/cell
electronic total energy	-5.266	eV per atom
ΔH_f (0 K)	-0.467	eV per atom
space group	Fm-3m (225)

Geometry as POSCAR:
```
Sm2CdIr
1.0
0.000 3.640 3.640
3.640 0.000 3.640
3.640 3.640 0.000
Sm Cd Ir
2 1 1
direct
0.250 0.250 0.250 Sm
0.750 0.750 0.750 Sm
0.000 0.000 0.000 Cd
0.500 0.500 0.500 Ir
```

---

# 8
This record from the Materials Project database describes a geometry-optimized LaCu2 structure. The functional is PBE-GGA.

Properties
V	62	Å³/cell
electronic total energy	-4.594	eV per atom
ΔH_f (0 K)	-0.216	eV per atom
space group	P6/mmm (191)

Geometry as POSCAR:
```
LaCu2
1.0
4.328 0.000 0.000
-2.164 3.748 0.000
0.000 0.000 3.825
La Cu
1 2
direct
0.000 0.000 0.000 La
0.333 0.667 0.500 Cu
0.667 0.333 0.500 Cu
```